[1]
Computed, not measured: BaMgGe after structural relaxation at the r²SCAN level of DFT.

As for the symmetry: P4/nmm. The value obtained for the density is 4489 kg/m³. The value obtained for the formation energy is -0.5972 eV per atom.

Cell lengths 4.683, 4.680, 7.908 Å; angles 90.00, 90.00, 90.00 degrees
Atoms (fractional coordinates):
Ba (0.500, 0.000, 0.661)
Ba (0.000, 0.500, 0.339)
Ge (0.000, 0.500, 0.795)
Ge (0.500, 0.000, 0.205)
Mg (0.000, 0.000, 0.000)
Mg (0.500, 0.500, 0.000)



[2]
Computed, not measured: Ba6Ge5N2 after structural relaxation at the r²SCAN level of DFT.

As for the symmetry: Pmmn. The value obtained for the density is 5210 kg/m³. The value obtained for the formation energy is -0.6854 eV per atom.

Cell lengths 4.201, 9.701, 19.011 Å; angles 90.00, 90.00, 90.00 degrees
Atoms (fractional coordinates):
Ba (0.500, 0.536, 0.140)
Ba (0.000, 0.245, 0.000)
Ba (0.500, 0.112, 0.683)
Ba (0.000, 0.464, 0.360)
Ba (0.000, 0.888, 0.183)
Ba (0.000, 0.155, 0.500)
Ba (0.000, 0.888, 0.817)
Ba (0.500, 0.112, 0.317)
Ba (0.500, 0.755, 0.500)
Ba (0.000, 0.464, 0.640)
Ba (0.500, 0.845, 0.000)
Ba (0.500, 0.536, 0.860)
Ge (0.000, 0.260, 0.807)
Ge (0.500, 0.740, 0.693)
Ge (0.000, 0.260, 0.193)
Ge (0.500, 0.740, 0.307)
Ge (0.000, 0.590, 0.000)
Ge (0.500, 0.410, 0.500)
Ge (0.500, 0.155, 0.133)
Ge (0.000, 0.845, 0.633)
Ge (0.000, 0.845, 0.367)
Ge (0.500, 0.155, 0.867)
N (0.000, 0.707, 0.080)
N (0.000, 0.707, 0.920)
N (0.500, 0.293, 0.420)
N (0.500, 0.293, 0.580)



[3]
Computed, not measured: Ba2Ni5Ge4 after structural relaxation at the r²SCAN level of DFT.

As for the symmetry: C2/m. The value obtained for the density is 6747 kg/m³. The value obtained for the formation energy is -0.4500 eV per atom.

Cell lengths 6.555, 6.555, 9.555 Å; angles 63.07, 63.07, 35.82 degrees
Atoms (fractional coordinates):
Ge (0.532, 0.532, 0.199)
Ge (0.468, 0.468, 0.801)
Ge (0.144, 0.144, 0.449)
Ge (0.856, 0.856, 0.551)
Ni (0.336, 0.336, 0.425)
Ni (0.500, 0.500, 0.500)
Ni (0.034, 0.034, 0.309)
Ni (0.966, 0.966, 0.691)
Ni (0.664, 0.664, 0.575)
Ba (0.824, 0.824, 0.142)
Ba (0.176, 0.176, 0.858)



> Which of these has the highest density?

Ba2Ni5Ge4